# 1
{
  "formula": "Li2NbCr3O8",
  "functional": "PBE+U",
  "state": "optimized geometry",
  "rho_kg_m3": 4182,
  "e_form_mev_per_atom": -2559,
  "e_ij_max_c_m2": 0.0,
  "volume_a3_per_atom": 11.08,
  "cell": [[-6.002, 3.767, -4.748], [-4.913, 0.890, 6.917], [3.550, 7.601, 1.544]],
  "species": ["Li", "Li", "Li", "Li", "Li", "Li", "Li", "Li", "Nb", "Nb", "Nb", "Nb", "Cr", "Cr", "Cr", "Cr", "Cr", "Cr", "Cr", "Cr", "Cr", "Cr", "Cr", "Cr", "O", "O", "O", "O", "O", "O", "O", "O", "O", "O", "O", "O", "O", "O", "O", "O", "O", "O", "O", "O", "O", "O", "O", "O", "O", "O", "O", "O", "O", "O", "O", "O"],
  "fractional_positions": [[0.996, 0.996, 0.996], [0.254, 0.254, 0.254], [0.246, 0.746, 0.754], [0.504, 0.004, 0.496], [0.496, 0.504, 0.004], [0.754, 0.246, 0.746], [0.746, 0.754, 0.246], [0.004, 0.496, 0.504], [0.125, 0.875, 0.375], [0.375, 0.125, 0.875], [0.625, 0.625, 0.625], [0.875, 0.375, 0.125], [0.121, 0.129, 0.625], [0.125, 0.379, 0.871], [0.129, 0.625, 0.121], [0.371, 0.375, 0.621], [0.375, 0.621, 0.371], [0.379, 0.871, 0.125], [0.621, 0.371, 0.375], [0.625, 0.121, 0.129], [0.629, 0.875, 0.879], [0.871, 0.125, 0.379], [0.875, 0.879, 0.629], [0.879, 0.629, 0.875], [0.114, 0.112, 0.386], [0.114, 0.886, 0.612], [0.111, 0.611, 0.889], [0.138, 0.136, 0.864], [0.112, 0.386, 0.114], [0.139, 0.361, 0.639], [0.136, 0.638, 0.364], [0.136, 0.864, 0.138], [0.364, 0.136, 0.638], [0.364, 0.362, 0.864], [0.361, 0.639, 0.139], [0.388, 0.614, 0.614], [0.362, 0.864, 0.364], [0.389, 0.389, 0.389], [0.386, 0.114, 0.112], [0.386, 0.888, 0.886], [0.614, 0.388, 0.614], [0.614, 0.614, 0.388], [0.611, 0.889, 0.111], [0.638, 0.364, 0.136], [0.612, 0.114, 0.886], [0.639, 0.139, 0.361], [0.636, 0.862, 0.636], [0.636, 0.636, 0.862], [0.864, 0.364, 0.362], [0.864, 0.138, 0.136], [0.861, 0.861, 0.861], [0.888, 0.886, 0.386], [0.862, 0.636, 0.636], [0.889, 0.111, 0.611], [0.886, 0.386, 0.888], [0.886, 0.612, 0.114]]
}

# 2
{
  "formula": "Li4Nb3Cr5O16",
  "functional": "PBE+U",
  "state": "optimized geometry",
  "rho_kg_m3": 4479,
  "e_form_mev_per_atom": -2542,
  "volume_a3_per_atom": 10.89,
  "cell": [[2.987, 5.227, 0.000], [-2.987, 5.227, 0.000], [0.000, 0.061, 9.763]],
  "species": ["Li", "Li", "Li", "Li", "Nb", "Nb", "Nb", "Cr", "Cr", "Cr", "Cr", "Cr", "O", "O", "O", "O", "O", "O", "O", "O", "O", "O", "O", "O", "O", "O", "O", "O"],
  "fractional_positions": [[0.667, 0.667, 0.897], [0.011, 0.011, 0.995], [0.005, 0.005, 0.495], [0.334, 0.334, 0.386], [0.832, 0.832, 0.212], [0.645, 0.187, 0.711], [0.187, 0.645, 0.711], [0.832, 0.340, 0.215], [0.666, 0.666, 0.481], [0.340, 0.832, 0.215], [0.167, 0.167, 0.714], [0.329, 0.329, 0.990], [0.829, 0.329, 0.601], [0.521, 0.521, 0.338], [0.670, 0.670, 0.103], [0.000, 0.000, 0.312], [0.004, 0.004, 0.813], [0.329, 0.829, 0.601], [0.960, 0.522, 0.340], [0.522, 0.960, 0.340], [0.163, 0.163, 0.102], [0.833, 0.833, 0.599], [0.480, 0.042, 0.841], [0.042, 0.480, 0.841], [0.320, 0.320, 0.588], [0.669, 0.159, 0.104], [0.483, 0.483, 0.859], [0.159, 0.669, 0.104]]
}

# 3
{
  "formula": "Li2NbCr3O8",
  "functional": "PBE+U",
  "state": "optimized geometry",
  "rho_kg_m3": 4343,
  "e_form_mev_per_atom": -2569,
  "volume_a3_per_atom": 10.67,
  "cell": [[5.987, 0.000, 0.000], [-2.994, 5.185, 0.000], [0.000, 0.000, 9.627]],
  "species": ["Li", "Li", "Li", "Li", "Nb", "Nb", "Cr", "Cr", "Cr", "Cr", "Cr", "Cr", "O", "O", "O", "O", "O", "O", "O", "O", "O", "O", "O", "O", "O", "O", "O", "O"],
  "fractional_positions": [[0.333, 0.667, 0.901], [0.000, 0.000, 0.993], [0.000, 0.000, 0.493], [0.667, 0.333, 0.401], [0.333, 0.667, 0.493], [0.667, 0.333, 0.993], [0.170, 0.830, 0.215], [0.170, 0.340, 0.215], [0.660, 0.830, 0.215], [0.340, 0.170, 0.715], [0.830, 0.660, 0.715], [0.830, 0.170, 0.715], [0.167, 0.833, 0.594], [0.040, 0.520, 0.341], [0.333, 0.667, 0.108], [0.000, 0.000, 0.308], [0.000, 0.000, 0.808], [0.167, 0.334, 0.594], [0.480, 0.960, 0.341], [0.480, 0.520, 0.341], [0.334, 0.167, 0.094], [0.666, 0.833, 0.594], [0.520, 0.480, 0.841], [0.520, 0.040, 0.841], [0.667, 0.333, 0.608], [0.833, 0.666, 0.094], [0.960, 0.480, 0.841], [0.833, 0.167, 0.094]]
}

# 4
{
  "formula": "Li2NbCr3O8",
  "functional": "PBE+U",
  "state": "optimized geometry",
  "rho_kg_m3": 4176,
  "e_form_mev_per_atom": -2554,
  "volume_a3_per_atom": 11.10,
  "cell": [[0.392, 4.827, -3.592], [-4.660, 3.839, -0.410], [6.860, 4.308, 6.538]],
  "species": ["Li", "Li", "Li", "Li", "Nb", "Nb", "Cr", "Cr", "Cr", "Cr", "Cr", "Cr", "O", "O", "O", "O", "O", "O", "O", "O", "O", "O", "O", "O", "O", "O", "O", "O"],
  "fractional_positions": [[0.307, 0.386, 0.565], [0.807, 0.386, 0.065], [0.193, 0.614, 0.936], [0.693, 0.614, 0.436], [0.750, 0.499, 0.750], [0.250, 0.499, 0.250], [0.750, 0.000, 0.751], [0.250, 0.000, 0.751], [0.000, 0.000, 0.499], [0.250, 0.000, 0.251], [0.750, 0.000, 0.251], [0.500, 0.000, 0.999], [0.101, 0.797, 0.633], [0.601, 0.797, 0.133], [0.397, 0.207, 0.867], [0.897, 0.207, 0.367], [0.878, 0.243, 0.859], [0.378, 0.243, 0.359], [0.653, 0.242, 0.631], [0.153, 0.242, 0.131], [0.105, 0.242, 0.631], [0.605, 0.242, 0.131], [0.395, 0.756, 0.868], [0.895, 0.756, 0.368], [0.849, 0.756, 0.868], [0.349, 0.756, 0.368], [0.621, 0.757, 0.642], [0.121, 0.757, 0.142]]
}